Record 1
VASP calculation (PBE-GGA) on a geometry-optimized SrGaSi structure.

a b c (Å): 4.221 4.221 4.723
angles (deg): 90.00 90.00 120.00
Atoms (fractional coordinates):
1 Ga 0.667 0.333 0.500
2 Sr 0.333 0.667 0.000
3 Si 0.000 0.000 0.500

Computed properties:
symmetry = P-6m2, No. 187
electronic total energy = -3.842 eV per atom

Record 2
VASP calculation (PBE-GGA) on a geometry-optimized CuH12C3S3IN6 structure.

a b c (Å): 14.441 14.441 14.383
angles (deg): 90.00 90.00 90.00
Atoms (fractional coordinates):
1 H 0.287 0.226 0.365
2 H 0.501 0.050 0.399
3 H 0.637 0.180 0.188
4 H 0.751 0.045 0.928
5 H 0.726 0.213 0.615
6 H 0.029 0.183 0.402
7 H 0.762 0.098 0.383
8 H 0.652 0.266 0.535
9 H 0.744 0.917 0.528
10 H 0.266 0.652 0.465
11 H 0.648 0.521 0.392
12 H 0.863 0.680 0.562
13 H 0.431 0.502 0.115
14 H 0.238 0.902 0.883
15 H 0.491 0.828 0.893
16 H 0.471 0.683 0.348
17 H 0.213 0.726 0.385
18 H 0.734 0.348 0.965
19 H 0.045 0.751 0.072
20 H 0.069 0.002 0.635
21 H 0.498 0.569 0.385
22 H 0.774 0.713 0.135
23 H 0.902 0.238 0.117
24 H 0.583 0.244 0.278
25 H 0.402 0.262 0.133
26 H 0.756 0.417 0.222
27 H 0.251 0.455 0.322
28 H 0.680 0.863 0.438
29 H 0.828 0.491 0.107
30 H 0.180 0.637 0.812
31 H 0.569 0.498 0.615
32 H 0.499 0.950 0.899
33 H 0.137 0.320 0.062
34 H 0.287 0.500 0.431
35 H 0.598 0.738 0.633
36 H 0.509 0.172 0.393
37 H 0.999 0.550 0.351
38 H 0.348 0.734 0.035
39 H 0.955 0.249 0.572
40 H 0.529 0.317 0.848
41 H 0.320 0.137 0.938
42 H 0.479 0.352 0.108
43 H 0.672 0.991 0.643
44 H 0.148 0.979 0.858
45 H 0.244 0.583 0.722
46 H 0.917 0.744 0.472
47 H 0.352 0.479 0.892
48 H 0.713 0.774 0.865
49 H 0.083 0.256 0.972
50 H 0.001 0.450 0.851
51 H 0.262 0.402 0.867
52 H 0.000 0.213 0.681
53 H 0.152 0.234 0.715
54 H 0.002 0.069 0.365
55 H 0.500 0.287 0.569
56 H 0.979 0.148 0.142
57 H 0.713 0.500 0.931
58 H 0.000 0.787 0.181
59 H 0.009 0.328 0.857
60 H 0.050 0.501 0.601
61 H 0.931 0.998 0.135
62 H 0.787 0.000 0.819
63 H 0.417 0.756 0.778
64 H 0.328 0.009 0.143
65 H 0.550 0.999 0.649
66 H 0.249 0.955 0.428
67 H 0.183 0.029 0.598
68 H 0.363 0.820 0.688
69 H 0.317 0.529 0.152
70 H 0.234 0.152 0.285
71 H 0.766 0.848 0.785
72 H 0.852 0.021 0.358
73 H 0.500 0.713 0.069
74 H 0.683 0.471 0.652
75 H 0.991 0.672 0.357
76 H 0.274 0.787 0.115
77 H 0.820 0.363 0.312
78 H 0.226 0.287 0.635
79 H 0.787 0.274 0.885
80 H 0.749 0.545 0.822
81 H 0.545 0.749 0.178
82 H 0.817 0.971 0.098
83 H 0.450 0.001 0.149
84 H 0.213 0.000 0.319
85 H 0.971 0.817 0.902
86 H 0.848 0.766 0.215
87 H 0.021 0.852 0.642
88 H 0.502 0.431 0.885
89 H 0.455 0.251 0.678
90 H 0.998 0.931 0.865
91 H 0.738 0.598 0.367
92 H 0.256 0.083 0.028
93 H 0.950 0.499 0.101
94 H 0.521 0.648 0.608
95 H 0.098 0.762 0.617
96 H 0.172 0.509 0.607
97 Cu 0.474 0.137 0.829
98 Cu 0.974 0.363 0.421
99 Cu 0.137 0.474 0.171
100 Cu 0.026 0.637 0.921
101 Cu 0.863 0.526 0.671
102 Cu 0.363 0.974 0.579
103 Cu 0.637 0.026 0.079
104 Cu 0.526 0.863 0.329
105 S 0.759 0.648 0.685
106 S 0.673 0.888 0.014
107 S 0.888 0.673 0.986
108 S 0.503 0.093 0.984
109 S 0.827 0.388 0.736
110 S 0.259 0.852 0.565
111 S 0.173 0.612 0.236
112 S 0.003 0.407 0.266
113 S 0.352 0.241 0.815
114 S 0.112 0.327 0.486
115 S 0.093 0.503 0.016
116 S 0.648 0.759 0.315
117 S 0.241 0.352 0.185
118 S 0.852 0.259 0.435
119 S 0.388 0.827 0.264
120 S 0.741 0.148 0.065
121 S 0.407 0.003 0.734
122 S 0.497 0.907 0.484
123 S 0.612 0.173 0.764
124 S 0.997 0.593 0.766
125 S 0.148 0.741 0.935
126 S 0.593 0.997 0.234
127 S 0.327 0.112 0.514
128 S 0.907 0.497 0.516
129 N 0.634 0.519 0.634
130 N 0.519 0.634 0.366
131 N 0.976 0.609 0.384
132 N 0.086 0.830 0.626
133 N 0.891 0.476 0.134
134 N 0.818 0.405 0.255
135 N 0.170 0.914 0.874
136 N 0.414 0.330 0.124
137 N 0.182 0.595 0.755
138 N 0.732 0.839 0.847
139 N 0.981 0.134 0.384
140 N 0.670 0.586 0.376
141 N 0.905 0.682 0.505
142 N 0.009 0.245 0.617
143 N 0.391 0.024 0.116
144 N 0.991 0.755 0.117
145 N 0.830 0.086 0.374
146 N 0.524 0.109 0.366
147 N 0.682 0.905 0.495
148 N 0.161 0.268 0.653
149 N 0.491 0.745 0.133
150 N 0.509 0.255 0.633
151 N 0.661 0.232 0.597
152 N 0.755 0.991 0.883
153 N 0.586 0.670 0.624
154 N 0.866 0.019 0.116
155 N 0.134 0.981 0.616
156 N 0.024 0.391 0.884
157 N 0.245 0.009 0.383
158 N 0.232 0.661 0.403
159 N 0.019 0.866 0.884
160 N 0.476 0.891 0.866
161 N 0.268 0.161 0.347
162 N 0.330 0.414 0.876
163 N 0.318 0.095 0.995
164 N 0.109 0.524 0.634
165 N 0.095 0.318 0.005
166 N 0.745 0.491 0.867
167 N 0.595 0.182 0.245
168 N 0.255 0.509 0.367
169 N 0.366 0.481 0.134
170 N 0.839 0.732 0.153
171 N 0.609 0.976 0.616
172 N 0.481 0.366 0.866
173 N 0.405 0.818 0.745
174 N 0.339 0.768 0.097
175 N 0.914 0.170 0.126
176 N 0.768 0.339 0.903
177 I 0.031 0.135 0.846
178 I 0.969 0.865 0.346
179 I 0.135 0.031 0.154
180 I 0.365 0.531 0.596
181 I 0.635 0.469 0.096
182 I 0.531 0.365 0.404
183 I 0.865 0.969 0.654
184 I 0.469 0.635 0.904
185 C 0.847 0.109 0.105
186 C 0.891 0.153 0.395
187 C 0.776 0.408 0.842
188 C 0.103 0.569 0.715
189 C 0.092 0.276 0.592
190 C 0.569 0.103 0.285
191 C 0.908 0.724 0.092
192 C 0.592 0.224 0.658
193 C 0.931 0.603 0.465
194 C 0.609 0.653 0.355
195 C 0.408 0.776 0.158
196 C 0.069 0.397 0.965
197 C 0.397 0.069 0.035
198 C 0.897 0.431 0.215
199 C 0.109 0.847 0.895
200 C 0.224 0.592 0.342
201 C 0.653 0.609 0.645
202 C 0.391 0.347 0.855
203 C 0.276 0.092 0.408
204 C 0.431 0.897 0.785
205 C 0.347 0.391 0.145
206 C 0.724 0.908 0.908
207 C 0.153 0.891 0.605
208 C 0.603 0.931 0.535

Computed properties:
symmetry = P4_32_12, No. 96
electronic total energy = -5.489 eV per atom

Record 3
VASP calculation (PBE-GGA) on a geometry-optimized MgAl6O10 structure.

a b c (Å): 5.695 5.695 23.534
angles (deg): 83.06 83.06 60.35
Atoms (fractional coordinates):
1 O 0.710 0.710 0.839
2 O 0.345 0.345 0.519
3 O 0.632 0.632 0.112
4 O 0.561 0.005 0.427
5 O 0.201 0.738 0.323
6 O 0.604 0.604 0.628
7 O 0.525 0.525 0.424
8 O 0.037 0.037 0.920
9 O 0.323 0.323 0.033
10 O 0.817 0.337 0.027
11 O 0.120 0.120 0.632
12 O 0.603 0.163 0.628
13 O 0.943 0.392 0.721
14 O 0.337 0.817 0.027
15 O 0.219 0.219 0.826
16 O 0.607 0.135 0.124
17 O 0.012 0.504 0.931
18 O 0.821 0.821 0.025
19 O 0.738 0.201 0.323
20 O 0.828 0.828 0.518
21 O 0.408 0.408 0.228
22 O 0.135 0.607 0.124
23 O 0.163 0.603 0.628
24 O 0.738 0.738 0.323
25 O 0.744 0.241 0.821
26 O 0.005 0.561 0.427
27 O 0.407 0.958 0.228
28 O 0.228 0.228 0.319
29 O 0.346 0.789 0.520
30 O 0.529 0.529 0.929
31 O 0.923 0.923 0.230
32 O 0.425 0.425 0.722
33 O 0.241 0.744 0.821
34 O 0.504 0.012 0.931
35 O 0.939 0.939 0.722
36 O 0.135 0.135 0.124
37 O 0.392 0.943 0.721
38 O 0.006 0.006 0.427
39 O 0.958 0.407 0.228
40 O 0.789 0.346 0.520
41 Al 0.083 0.083 0.271
42 Al 0.345 0.345 0.951
43 Al 0.969 0.478 0.076
44 Al 0.474 0.474 0.576
45 Al 0.272 0.776 0.676
46 Al 0.677 0.172 0.474
47 Al 0.478 0.969 0.076
48 Al 0.272 0.272 0.677
49 Al 0.776 0.272 0.676
50 Al 0.875 0.875 0.375
51 Al 0.007 0.007 0.995
52 Al 0.480 0.480 0.076
53 Al 0.688 0.688 0.969
54 Al 0.949 0.949 0.152
55 Al 0.083 0.564 0.271
56 Al 0.274 0.274 0.180
57 Al 0.065 0.065 0.777
58 Al 0.564 0.083 0.271
59 Al 0.677 0.677 0.474
60 Al 0.374 0.875 0.875
61 Al 0.172 0.677 0.474
62 Al 0.875 0.374 0.875
63 Al 0.552 0.552 0.344
64 Al 0.406 0.406 0.802
65 Mg 0.799 0.799 0.603
66 Mg 0.149 0.149 0.550
67 Mg 0.201 0.201 0.401
68 Mg 0.743 0.743 0.758

Computed properties:
symmetry = Cm, No. 8
excess energy over the best structure of this formula in the dataset = 0.42 eV per formula unit

Record 4
VASP calculation (PBE-GGA) on a geometry-optimized Na5S3ClO12 structure.

a b c (Å): 9.906 9.906 6.788
angles (deg): 90.00 90.00 120.00
Atoms (fractional coordinates):
1 O 0.492 0.138 0.250
2 O 0.080 0.356 0.427
3 O 0.463 0.878 0.250
4 O 0.920 0.644 0.927
5 O 0.724 0.080 0.573
6 O 0.356 0.276 0.573
7 O 0.508 0.862 0.750
8 O 0.644 0.724 0.073
9 O 0.878 0.415 0.750
10 O 0.138 0.646 0.750
11 O 0.644 0.724 0.427
12 O 0.276 0.920 0.073
13 O 0.276 0.920 0.427
14 O 0.724 0.080 0.927
15 O 0.920 0.644 0.573
16 O 0.122 0.585 0.250
17 O 0.646 0.508 0.250
18 O 0.415 0.537 0.250
19 O 0.585 0.463 0.750
20 O 0.354 0.492 0.750
21 O 0.356 0.276 0.927
22 O 0.080 0.356 0.073
23 O 0.862 0.354 0.250
24 O 0.537 0.122 0.750
25 Na 0.255 0.258 0.250
26 Na 0.745 0.742 0.750
27 Na 0.667 0.333 0.489
28 Na 0.667 0.333 0.011
29 Na 0.258 0.003 0.750
30 Na 0.742 0.997 0.250
31 Na 0.333 0.667 0.989
32 Na 0.333 0.667 0.511
33 Na 0.997 0.255 0.750
34 Na 0.003 0.745 0.250
35 Cl 0.000 0.000 0.000
36 Cl 0.000 0.000 0.500
37 S 0.969 0.589 0.750
38 S 0.411 0.380 0.750
39 S 0.031 0.411 0.250
40 S 0.380 0.969 0.250
41 S 0.620 0.031 0.750
42 S 0.589 0.620 0.250

Computed properties:
symmetry = P6_3/m, No. 176
electronic total energy = -5.386 eV per atom

Record 5
VASP calculation (PBE-GGA) on a geometry-optimized DyCu5 structure.

a b c (Å): 4.964 4.964 4.964
angles (deg): 60.00 60.00 60.00
Atoms (fractional coordinates):
1 Cu 0.624 0.624 0.624
2 Cu 0.250 0.250 0.250
3 Cu 0.624 0.624 0.129
4 Cu 0.129 0.624 0.624
5 Cu 0.624 0.129 0.624
6 Dy 0.000 0.000 0.000

Computed properties:
symmetry = F-43m, No. 216
electronic total energy = -4.370 eV per atom

Record 6
VASP calculation (PBE-GGA) on a geometry-optimized CeMg2 structure.

a b c (Å): 5.812 5.812 6.001
angles (deg): 67.04 67.04 59.28
Atoms (fractional coordinates):
1 Mg 0.255 0.414 0.749
2 Mg 0.586 0.745 0.751
3 Mg 0.745 0.586 0.251
4 Mg 0.414 0.255 0.249
5 Ce 0.924 0.076 0.750
6 Ce 0.076 0.924 0.250

Computed properties:
symmetry = C2/c, No. 15
electronic total energy = -2.970 eV per atom

Record 7
VASP calculation (PBE-GGA) on a geometry-optimized NaH3C4O5 structure.

a b c (Å): 3.901 8.165 9.836
angles (deg): 90.00 102.46 90.00
Atoms (fractional coordinates):
1 O 0.480 0.848 0.357
2 O 0.915 0.560 0.568
3 O 0.897 0.868 0.699
4 O 0.479 0.552 0.862
5 O 0.479 0.448 0.362
6 O 0.897 0.132 0.199
7 O 0.945 0.840 0.049
8 O 0.480 0.152 0.857
9 O 0.915 0.440 0.068
10 O 0.945 0.160 0.549
11 Na 0.472 0.862 0.851
12 Na 0.472 0.138 0.351
13 H 0.899 0.964 0.638
14 H 0.733 0.513 0.481
15 H 0.899 0.036 0.138
16 H 0.879 0.227 0.136
17 H 0.879 0.773 0.636
18 H 0.733 0.487 0.981
19 C 0.082 0.557 0.146
20 C 0.329 0.556 0.278
21 C 0.329 0.444 0.778
22 C 0.337 0.260 0.776
23 C 0.088 0.265 0.636
24 C 0.082 0.443 0.646
25 C 0.088 0.735 0.136
26 C 0.337 0.740 0.276

Computed properties:
symmetry = Pc, No. 7
electronic total energy = -6.505 eV per atom

Record 8
VASP calculation (PBE-GGA) on a geometry-optimized NdCuGe2 structure.

a b c (Å): 8.971 8.971 4.249
angles (deg): 90.00 90.00 152.42
Atoms (fractional coordinates):
1 Cu 0.326 0.674 0.250
2 Cu 0.674 0.326 0.750
3 Nd 0.896 0.104 0.750
4 Nd 0.104 0.896 0.250
5 Ge 0.538 0.462 0.750
6 Ge 0.249 0.751 0.750
7 Ge 0.751 0.249 0.250
8 Ge 0.462 0.538 0.250

Computed properties:
symmetry = Cmcm, No. 63
electronic total energy = -5.110 eV per atom

Record 9
VASP calculation (PBE-GGA) on a geometry-optimized Mg7Si4 structure.

a b c (Å): 5.436 6.202 13.310
angles (deg): 85.90 80.05 87.74
Atoms (fractional coordinates):
1 Si 0.168 0.916 0.383
2 Si 0.484 0.975 0.223
3 Si 0.551 0.153 0.885
4 Si 0.921 0.680 0.729
5 Si 0.027 0.290 0.415
6 Si 0.623 0.533 0.879
7 Si 0.899 0.065 0.748
8 Si 0.695 0.624 0.190
9 Mg 0.262 0.612 0.539
10 Mg 0.517 0.314 0.081
11 Mg 0.737 0.399 0.599
12 Mg 0.030 0.557 0.005
13 Mg 0.562 0.302 0.350
14 Mg 0.276 0.119 0.567
15 Mg 0.164 0.580 0.244
16 Mg 0.771 0.916 0.568
17 Mg 0.485 0.818 0.030
18 Mg 0.694 0.773 0.377
19 Mg 0.016 0.067 0.955
20 Mg 0.370 0.848 0.772
21 Mg 0.253 0.368 0.766
22 Mg 0.995 0.083 0.188

Computed properties:
symmetry = P1, No. 1
excess energy over the best structure of this formula in the dataset = 0.16 eV per formula unit